VASP calculation (GGA-PBE) on an optimized crystal structure of La2AlB2Os2.

a = 8.874 Å, b = 8.874 Å, c = 10.458 Å
α = 112.02°, β = 112.02°, γ = 40.22°
Sites, in units of the cell vectors:
1 La 0.045 0.844 0.833
2 La 0.079 0.414 0.850
3 La 0.156 0.955 0.667
4 La 0.414 0.079 0.350
5 La 0.586 0.921 0.650
6 La 0.844 0.045 0.333
7 La 0.921 0.586 0.150
8 La 0.955 0.156 0.167
9 Al 0.329 0.527 0.400
10 Al 0.473 0.671 0.100
11 Al 0.527 0.329 0.900
12 Al 0.671 0.473 0.600
13 B 0.006 0.769 0.059
14 B 0.211 0.403 0.617
15 B 0.231 0.994 0.441
16 B 0.403 0.211 0.117
17 B 0.597 0.789 0.883
18 B 0.769 0.006 0.559
19 B 0.789 0.597 0.383
20 B 0.994 0.231 0.941
21 Os 0.002 0.340 0.516
22 Os 0.340 0.002 0.016
23 Os 0.348 0.496 0.132
24 Os 0.496 0.348 0.632
25 Os 0.504 0.652 0.368
26 Os 0.652 0.504 0.868
27 Os 0.660 0.998 0.984
28 Os 0.998 0.660 0.484

Spin magnetization = 0.0 Bohr magnetons per cell
Energy of formation = -467 meV per atom
SG = C2/c
VASP energy = -7.5291 eV per atom

=====

VASP calculation (GGA-PBE) on an optimized crystal structure of LaAl2BRu2.

a = 4.229 Å, b = 4.229 Å, c = 5.680 Å
α = 90.00°, β = 90.00°, γ = 90.00°
Sites, in units of the cell vectors:
1 La 0.000 0.000 0.000
2 Al 0.500 0.500 0.246
3 Al 0.500 0.500 0.754
4 B 0.000 0.000 0.500
5 Ru 0.000 0.500 0.500
6 Ru 0.500 0.000 0.500

Spin magnetization = 0.0 Bohr magnetons per cell
Energy of formation = -642 meV per atom
SG = P4/mmm
VASP energy = -6.9181 eV per atom

=====

VASP calculation (GGA-PBE) on an optimized crystal structure of LiAlB4.

a = 5.900 Å, b = 11.333 Å, c = 3.321 Å
α = 90.00°, β = 90.00°, γ = 90.00°
Sites, in units of the cell vectors:
1 Li 0.127 0.150 0.000
2 Li 0.373 0.650 0.000
3 Li 0.627 0.350 0.000
4 Li 0.873 0.850 0.000
5 Al 0.143 0.407 0.000
6 Al 0.357 0.907 0.000
7 Al 0.643 0.093 0.000
8 Al 0.857 0.593 0.000
9 B 0.019 0.697 0.500
10 B 0.116 0.550 0.500
11 B 0.132 0.971 0.500
12 B 0.198 0.813 0.500
13 B 0.302 0.313 0.500
14 B 0.368 0.471 0.500
15 B 0.384 0.050 0.500
16 B 0.481 0.197 0.500
17 B 0.519 0.803 0.500
18 B 0.616 0.950 0.500
19 B 0.632 0.529 0.500
20 B 0.698 0.687 0.500
21 B 0.802 0.187 0.500
22 B 0.868 0.029 0.500
23 B 0.884 0.450 0.500
24 B 0.981 0.303 0.500

Spin magnetization = 0.0 Bohr magnetons per cell
Energy of formation = -51 meV per atom
SG = Pbam
VASP energy = -5.4464 eV per atom

=====

VASP calculation (GGA-PBE) on an optimized crystal structure of LiAlB14.

a = 7.202 Å, b = 7.202 Å, c = 7.202 Å
α = 132.04°, β = 88.16°, γ = 111.25°
Sites, in units of the cell vectors:
1 Li 0.400 0.150 0.250
2 Li 0.600 0.850 0.750
3 Al 0.000 0.000 0.500
4 Al 0.000 0.500 0.000
5 B 0.030 0.880 0.149
6 B 0.036 0.208 0.331
7 B 0.036 0.705 0.829
8 B 0.085 0.670 0.415
9 B 0.198 0.532 0.666
10 B 0.227 0.506 0.403
11 B 0.227 0.823 0.721
12 B 0.231 0.880 0.351
13 B 0.245 0.330 0.915
14 B 0.365 0.532 0.834
15 B 0.377 0.208 0.671
16 B 0.377 0.705 0.169
17 B 0.398 0.177 0.903
18 B 0.398 0.494 0.221
19 B 0.602 0.506 0.779
20 B 0.602 0.823 0.097
21 B 0.623 0.295 0.831
22 B 0.623 0.792 0.329
23 B 0.635 0.468 0.166
24 B 0.755 0.670 0.085
25 B 0.769 0.120 0.649
26 B 0.773 0.177 0.279
27 B 0.773 0.494 0.597
28 B 0.802 0.468 0.334
29 B 0.915 0.330 0.585
30 B 0.964 0.295 0.171
31 B 0.964 0.792 0.669
32 B 0.970 0.120 0.851

Energy of formation = -168 meV per atom
SG = Imma
VASP energy = -6.3655 eV per atom

=====

VASP calculation (GGA-PBE) on an optimized crystal structure of Li2AlBO4.

a = 6.368 Å, b = 5.109 Å, c = 10.450 Å
α = 90.00°, β = 96.28°, γ = 90.00°
Sites, in units of the cell vectors:
1 Li 0.105 0.142 0.289
2 Li 0.105 0.358 0.789
3 Li 0.225 0.169 0.571
4 Li 0.225 0.331 0.071
5 Li 0.775 0.669 0.929
6 Li 0.775 0.831 0.429
7 Li 0.895 0.642 0.211
8 Li 0.895 0.858 0.711
9 Al 0.498 0.643 0.659
10 Al 0.498 0.857 0.159
11 Al 0.502 0.143 0.841
12 Al 0.502 0.357 0.341
13 B 0.203 0.677 0.441
14 B 0.203 0.823 0.941
15 B 0.797 0.177 0.059
16 B 0.797 0.323 0.559
17 O 0.053 0.700 0.861
18 O 0.053 0.800 0.361
19 O 0.266 0.085 0.919
20 O 0.266 0.415 0.419
21 O 0.301 0.700 0.051
22 O 0.301 0.800 0.551
23 O 0.400 0.149 0.216
24 O 0.400 0.351 0.716
25 O 0.600 0.649 0.284
26 O 0.600 0.851 0.784
27 O 0.699 0.200 0.449
28 O 0.699 0.300 0.949
29 O 0.734 0.585 0.581
30 O 0.734 0.915 0.081
31 O 0.947 0.200 0.639
32 O 0.947 0.300 0.139

Spin magnetization = 0.0 Bohr magnetons per cell
Energy of formation = -2913 meV per atom
SG = P2_1/c
VASP energy = -6.8234 eV per atom

=====

VASP calculation (GGA-PBE) on an optimized crystal structure of LiAlB2O5.

a = 7.165 Å, b = 7.165 Å, c = 9.469 Å
α = 110.75°, β = 110.75°, γ = 90.71°
Sites, in units of the cell vectors:
1 Li 0.123 0.877 0.750
2 Li 0.340 0.660 0.250
3 Li 0.660 0.340 0.750
4 Li 0.877 0.123 0.250
5 Al 0.154 0.456 0.848
6 Al 0.456 0.154 0.348
7 Al 0.544 0.846 0.652
8 Al 0.846 0.544 0.152
9 B 0.104 0.760 0.471
10 B 0.240 0.896 0.029
11 B 0.262 0.272 0.092
12 B 0.272 0.262 0.592
13 B 0.728 0.738 0.408
14 B 0.738 0.728 0.908
15 B 0.760 0.104 0.971
16 B 0.896 0.240 0.529
17 O 0.066 0.214 0.482
18 O 0.085 0.672 0.313
19 O 0.168 0.719 0.894
20 O 0.207 0.417 0.029
21 O 0.214 0.066 0.982
22 O 0.281 0.832 0.606
23 O 0.325 0.360 0.755
24 O 0.328 0.915 0.187
25 O 0.360 0.325 0.255
26 O 0.417 0.207 0.529
27 O 0.583 0.793 0.471
28 O 0.640 0.675 0.745
29 O 0.672 0.085 0.813
30 O 0.675 0.640 0.245
31 O 0.719 0.168 0.394
32 O 0.786 0.934 0.018
33 O 0.793 0.583 0.971
34 O 0.832 0.281 0.106
35 O 0.915 0.328 0.687
36 O 0.934 0.786 0.518

Spin magnetization = 0.0 Bohr magnetons per cell
Energy of formation = -2989 meV per atom
SG = C2/c
VASP energy = -7.4686 eV per atom

=====

VASP calculation (GGA-PBE) on an optimized crystal structure of LuAlB4.

a = 5.901 Å, b = 11.431 Å, c = 3.512 Å
α = 90.00°, β = 90.00°, γ = 90.00°
Sites, in units of the cell vectors:
1 Lu 0.130 0.150 0.000
2 Lu 0.370 0.650 0.000
3 Lu 0.630 0.350 0.000
4 Lu 0.870 0.850 0.000
5 Al 0.138 0.410 0.000
6 Al 0.362 0.910 0.000
7 Al 0.638 0.090 0.000
8 Al 0.862 0.590 0.000
9 B 0.026 0.693 0.500
10 B 0.114 0.547 0.500
11 B 0.133 0.969 0.500
12 B 0.209 0.813 0.500
13 B 0.291 0.313 0.500
14 B 0.367 0.469 0.500
15 B 0.386 0.047 0.500
16 B 0.474 0.193 0.500
17 B 0.526 0.807 0.500
18 B 0.614 0.953 0.500
19 B 0.633 0.531 0.500
20 B 0.709 0.687 0.500
21 B 0.791 0.187 0.500
22 B 0.867 0.031 0.500
23 B 0.886 0.453 0.500
24 B 0.974 0.307 0.500

Distance to the lowest polymorph of the same formula = 0.000 eV per atom
Energy of formation = -499 meV per atom
SG = Pbam
VASP energy = -6.3301 eV per atom

=====

VASP calculation (GGA-PBE) on an optimized crystal structure of LuAlB4.

a = 5.893 Å, b = 5.893 Å, c = 3.509 Å
α = 90.00°, β = 90.00°, γ = 103.72°
Sites, in units of the cell vectors:
1 Lu 0.199 0.801 0.000
2 Lu 0.801 0.199 0.000
3 Al 0.319 0.319 0.000
4 Al 0.681 0.681 0.000
5 B 0.117 0.437 0.500
6 B 0.121 0.121 0.500
7 B 0.407 0.593 0.500
8 B 0.437 0.117 0.500
9 B 0.563 0.883 0.500
10 B 0.593 0.407 0.500
11 B 0.879 0.879 0.500
12 B 0.883 0.563 0.500

Distance to the lowest polymorph of the same formula = 0.003 eV per atom
Energy of formation = -497 meV per atom
SG = Cmmm
VASP energy = -6.3274 eV per atom